No. 1
The following is a PBE calculation of Na9H4S4BrO20 after structural relaxation, from the Materials Project database.

DFT total energy (eV for the cell shown): -804.54
Formation energy from the elements (eV per atom): -1.902
MP2020-corrected energy (eV per cell): -859.50
Total moment (μB/f.u.): 0.00
Theoretical density (Mg/m³): 2.50

Cell lengths 8.6115, 15.1135, 15.1135 Å; angles 90.00, 90.00, 90.00 degrees
With the nearest neighbours (Å) after each atom.
Element x y z (fractional)
Na (0.1845, 0.6266, 0.1482)  5 O 2.35-2.58
Na (0.1845, 0.8734, 0.3518)  5 O 2.35-2.58
Na (0.1845, 0.1482, 0.8734)  5 O 2.35-2.58
Na (0.1845, 0.3518, 0.6266)  5 O 2.35-2.58
Na (0.8155, 0.3734, 0.8518)  5 O 2.35-2.58
Na (0.8155, 0.1266, 0.6482)  5 O 2.35-2.58
Na (0.8155, 0.8518, 0.1266)  5 O 2.35-2.58
Na (0.8155, 0.6482, 0.3734)  5 O 2.35-2.58
Na (0.5000, 0.7500, 0.2500)  8 O 2.58-2.62
Na (0.5000, 0.2500, 0.7500)  8 O 2.58-2.62
Na (0.7950, 0.6088, 0.1274)  5 O 2.35-2.54
Na (0.7950, 0.8912, 0.3726)  5 O 2.35-2.54
Na (0.7950, 0.1274, 0.8912)  5 O 2.35-2.54
Na (0.7950, 0.3726, 0.6088)  5 O 2.35-2.54
Na (0.2050, 0.3912, 0.8726)  5 O 2.35-2.54
Na (0.2050, 0.1088, 0.6274)  5 O 2.35-2.54
Na (0.2050, 0.8726, 0.1088)  5 O 2.35-2.54
Na (0.2050, 0.6274, 0.3912)  5 O 2.35-2.54
Na (0.3127, 0.6249, 0.8542)  5 O 2.35-2.53
Na (0.3127, 0.8751, 0.6458)  5 O 2.35-2.53
Na (0.3127, 0.8542, 0.8751)  5 O 2.35-2.53
Na (0.3127, 0.6458, 0.6249)  5 O 2.35-2.53
Na (0.6873, 0.3751, 0.1458)  5 O 2.35-2.53
Na (0.6873, 0.1249, 0.3542)  5 O 2.35-2.53
Na (0.6873, 0.1458, 0.1249)  5 O 2.35-2.53
Na (0.6873, 0.3542, 0.3751)  5 O 2.35-2.53
Na (0.9805, 0.7500, 0.7500)  8 O 2.55-2.67
Na (0.0195, 0.2500, 0.2500)  8 O 2.55-2.67
Na (0.7011, 0.6112, 0.8705)  5 O 2.36-2.57
Na (0.7011, 0.8888, 0.6295)  5 O 2.36-2.57
Na (0.7011, 0.8705, 0.8888)  5 O 2.36-2.57
Na (0.7011, 0.6295, 0.6112)  5 O 2.36-2.57
Na (0.2989, 0.3888, 0.1295)  5 O 2.36-2.57
Na (0.2989, 0.1112, 0.3705)  5 O 2.36-2.57
Na (0.2989, 0.1295, 0.1112)  5 O 2.36-2.57
Na (0.2989, 0.3705, 0.3888)  5 O 2.36-2.57
H (0.3817, 0.5658, 0.0256)  1 O 1.01
H (0.3817, 0.9342, 0.4744)  1 O 1.01
H (0.3817, 0.0256, 0.9342)  1 O 1.01
H (0.3817, 0.4744, 0.5658)  1 O 1.01
H (0.6183, 0.4342, 0.9744)  1 O 1.01
H (0.6183, 0.0658, 0.5256)  1 O 1.01
H (0.6183, 0.9744, 0.0658)  1 O 1.01
H (0.6183, 0.5256, 0.4342)  1 O 1.01
H (0.1122, 0.5642, 0.9769)  1 O 1.01
H (0.1122, 0.9358, 0.5231)  1 O 1.01
H (0.1122, 0.9769, 0.9358)  1 O 1.01
H (0.1122, 0.5231, 0.5642)  1 O 1.01
H (0.8878, 0.4358, 0.0231)  1 O 1.01
H (0.8878, 0.0642, 0.4769)  1 O 1.01
H (0.8878, 0.0231, 0.0642)  1 O 1.01
H (0.8878, 0.4769, 0.4358)  1 O 1.01
S (0.4967, 0.7347, 0.0403)  4 O 1.48-1.51
S (0.4967, 0.7653, 0.4597)  4 O 1.48-1.51
S (0.4967, 0.0403, 0.7653)  4 O 1.48-1.51
S (0.4967, 0.4597, 0.7347)  4 O 1.48-1.51
S (0.5033, 0.2653, 0.9597)  4 O 1.48-1.51
S (0.5033, 0.2347, 0.5403)  4 O 1.48-1.51
S (0.5033, 0.9597, 0.2347)  4 O 1.48-1.51
S (0.5033, 0.5403, 0.2653)  4 O 1.48-1.51
S (0.0001, 0.7347, 0.9598)  4 O 1.49-1.51
S (0.0001, 0.7653, 0.5402)  4 O 1.49-1.51
S (0.0001, 0.9598, 0.7653)  4 O 1.49-1.51
S (0.0001, 0.5402, 0.7347)  4 O 1.49-1.51
S (0.9999, 0.2653, 0.0402)  4 O 1.49-1.51
S (0.9999, 0.2347, 0.4598)  4 O 1.49-1.51
S (0.9999, 0.0402, 0.2347)  4 O 1.49-1.51
S (0.9999, 0.4598, 0.2653)  4 O 1.49-1.51
Br (0.0000, 0.7500, 0.2500)  4 Na 2.89
Br (0.0000, 0.2500, 0.7500)  4 Na 2.89
Br (0.5077, 0.7500, 0.7500)  8 Na 2.98-3.24
Br (0.4923, 0.2500, 0.2500)  8 Na 2.98-3.24
O (0.2945, 0.5242, 0.0419)  1 H 1.01
O (0.2945, 0.9758, 0.4581)  1 H 1.01
O (0.2945, 0.0419, 0.9758)  1 H 1.01
O (0.2945, 0.4581, 0.5242)  1 H 1.01
O (0.7055, 0.4758, 0.9581)  1 H 1.01
O (0.7055, 0.0242, 0.5419)  1 H 1.01
O (0.7055, 0.9581, 0.0242)  1 H 1.01
O (0.7055, 0.5419, 0.4758)  1 H 1.01
O (0.2013, 0.5240, 0.9606)  1 H 1.01
O (0.2013, 0.9760, 0.5394)  1 H 1.01
O (0.2013, 0.9606, 0.9760)  1 H 1.01
O (0.2013, 0.5394, 0.5240)  1 H 1.01
O (0.7987, 0.4760, 0.0394)  1 H 1.01
O (0.7987, 0.0240, 0.4606)  1 H 1.01
O (0.7987, 0.0394, 0.0240)  1 H 1.01
O (0.7987, 0.4606, 0.4760)  1 H 1.01
O (0.4973, 0.8146, 0.9832)  1 S 1.48
O (0.4973, 0.6854, 0.5168)  1 S 1.48
O (0.4973, 0.9832, 0.6854)  1 S 1.48
O (0.4973, 0.5168, 0.8146)  1 S 1.48
O (0.5027, 0.1854, 0.0168)  1 S 1.48
O (0.5027, 0.3146, 0.4832)  1 S 1.48
O (0.5027, 0.0168, 0.3146)  1 S 1.48
O (0.5027, 0.4832, 0.1854)  1 S 1.48
O (0.6397, 0.7332, 0.0966)  1 S 1.50
O (0.6397, 0.7668, 0.4034)  1 S 1.50
O (0.6397, 0.0966, 0.7668)  1 S 1.50
O (0.6397, 0.4034, 0.7332)  1 S 1.50
O (0.3603, 0.2668, 0.9034)  1 S 1.50
O (0.3603, 0.2332, 0.5966)  1 S 1.50
O (0.3603, 0.9034, 0.2332)  1 S 1.50
O (0.3603, 0.5966, 0.2668)  1 S 1.50
O (0.4917, 0.6524, 0.9842)  1 S 1.51
O (0.4917, 0.8476, 0.5158)  1 S 1.51
O (0.4917, 0.9842, 0.8476)  1 S 1.51
O (0.4917, 0.5158, 0.6524)  1 S 1.51
O (0.5083, 0.3476, 0.0158)  1 S 1.51
O (0.5083, 0.1524, 0.4842)  1 S 1.51
O (0.5083, 0.0158, 0.1524)  1 S 1.51
O (0.5083, 0.4842, 0.3476)  1 S 1.51
O (0.3581, 0.7368, 0.1001)  1 S 1.50
O (0.3581, 0.7632, 0.3999)  1 S 1.50
O (0.3581, 0.1001, 0.7632)  1 S 1.50
O (0.3581, 0.3999, 0.7368)  1 S 1.50
O (0.6419, 0.2632, 0.8999)  1 S 1.50
O (0.6419, 0.2368, 0.6001)  1 S 1.50
O (0.6419, 0.8999, 0.2368)  1 S 1.50
O (0.6419, 0.6001, 0.2632)  1 S 1.50
O (0.0003, 0.8144, 0.0173)  1 S 1.49
O (0.0003, 0.6856, 0.4827)  1 S 1.49
O (0.0003, 0.0173, 0.6856)  1 S 1.49
O (0.0003, 0.4827, 0.8144)  1 S 1.49
O (0.9997, 0.1856, 0.9827)  1 S 1.49
O (0.9997, 0.3144, 0.5173)  1 S 1.49
O (0.9997, 0.9827, 0.3144)  1 S 1.49
O (0.9997, 0.5173, 0.1856)  1 S 1.49
O (0.8579, 0.7352, 0.9028)  1 S 1.50
O (0.8579, 0.7648, 0.5972)  1 S 1.50
O (0.8579, 0.9028, 0.7648)  1 S 1.50
O (0.8579, 0.5972, 0.7352)  1 S 1.50
O (0.1421, 0.2648, 0.0972)  1 S 1.50
O (0.1421, 0.2352, 0.4028)  1 S 1.50
O (0.1421, 0.0972, 0.2352)  1 S 1.50
O (0.1421, 0.4028, 0.2648)  1 S 1.50
O (0.0015, 0.6521, 0.0158)  1 S 1.51
O (0.0015, 0.8479, 0.4842)  1 S 1.51
O (0.0015, 0.0158, 0.8479)  1 S 1.51
O (0.0015, 0.4842, 0.6521)  1 S 1.51
O (0.9985, 0.3479, 0.9842)  1 S 1.51
O (0.9985, 0.1521, 0.5158)  1 S 1.51
O (0.9985, 0.9842, 0.1521)  1 S 1.51
O (0.9985, 0.5158, 0.3479)  1 S 1.51
O (0.1395, 0.7352, 0.9009)  1 S 1.50
O (0.1395, 0.7648, 0.5991)  1 S 1.50
O (0.1395, 0.9009, 0.7648)  1 S 1.50
O (0.1395, 0.5991, 0.7352)  1 S 1.50
O (0.8605, 0.2648, 0.0991)  1 S 1.50
O (0.8605, 0.2352, 0.4009)  1 S 1.50
O (0.8605, 0.0991, 0.2352)  1 S 1.50
O (0.8605, 0.4009, 0.2648)  1 S 1.50

No. 2
The following is a PBE calculation of Ta2Cr3Cu after structural relaxation, from the Materials Project database.

DFT total energy (eV for the cell shown): -113.71
Formation energy from the elements (eV per atom): -0.013
Total moment (μB/f.u.): 0.00
Theoretical density (Mg/m³): 11.66

Cell lengths 4.7926, 4.7926, 8.3232 Å; angles 90.00, 90.00, 120.00 degrees
With the nearest neighbours (Å) after each atom.
Element x y z (fractional)
Ta (0.3333, 0.6667, 0.4339)  3 Cu 2.82, 9 Cr 2.84-2.96, 4 Ta 2.98-3.06
Ta (0.6667, 0.3333, 0.5661)  3 Cu 2.82, 9 Cr 2.84-2.96, 4 Ta 2.98-3.06
Ta (0.6667, 0.3333, 0.9339)  3 Cu 2.82, 9 Cr 2.84-2.96, 4 Ta 2.98-3.06
Ta (0.3333, 0.6667, 0.0661)  3 Cu 2.82, 9 Cr 2.84-2.96, 4 Ta 2.98-3.06
Cr (0.8288, 0.1712, 0.2500)  4 Cr 2.33-2.46, 2 Cu 2.52
Cr (0.8288, 0.6576, 0.2500)  4 Cr 2.33-2.46, 2 Cu 2.52
Cr (0.3424, 0.1712, 0.2500)  4 Cr 2.33-2.46, 2 Cu 2.52
Cr (0.1712, 0.8288, 0.7500)  4 Cr 2.33-2.46, 2 Cu 2.52
Cr (0.1712, 0.3424, 0.7500)  4 Cr 2.33-2.46, 2 Cu 2.52
Cr (0.6576, 0.8288, 0.7500)  4 Cr 2.33-2.46, 2 Cu 2.52
Cu (0.0000, 0.0000, 0.5000)  6 Cr 2.52, 6 Ta 2.82
Cu (0.0000, 0.0000, 0.0000)  6 Cr 2.52, 6 Ta 2.82

No. 3
The following is a PBE calculation of TiAgF6 after structural relaxation, from the Materials Project database.

DFT total energy (eV for the cell shown): -42.14
Formation energy from the elements (eV per atom): -2.837
MP2020-corrected energy (eV per cell): -44.91
Theoretical density (Mg/m³): 3.67

Cell lengths 5.2629, 5.4579, 5.8687 Å; angles 94.08, 117.20, 118.70 degrees
With the nearest neighbours (Å) after each atom.
Element x y z (fractional)
Ti (0.0000, 0.5000, 0.5000)  6 F 1.85-1.92
Ag (0.0000, 0.0000, 0.0000)  4 F 2.15
F (0.8679, 0.7052, 0.2909)  1 Ti 1.85
F (0.1321, 0.2948, 0.7091)  1 Ti 1.85
F (0.4704, 0.8592, 0.7274)  1 Ti 1.92, 1 Ag 2.15
F (0.5296, 0.1408, 0.2726)  1 Ti 1.92, 1 Ag 2.15
F (0.8919, 0.6173, 0.7412)  1 Ti 1.92, 1 Ag 2.15
F (0.1081, 0.3827, 0.2588)  1 Ti 1.92, 1 Ag 2.15

No. 4
The following is a PBE calculation of MgH2Se2O8 after structural relaxation, from the Materials Project database.

DFT total energy (eV for the cell shown): -137.35
Formation energy from the elements (eV per atom): -1.478
MP2020-corrected energy (eV per cell): -148.34
Total moment (μB/f.u.): 0.00
Theoretical density (Mg/m³): 3.04

Cell lengths 8.6906, 5.2122, 8.5727 Å; angles 61.53, 90.00, 90.00 degrees
With the nearest neighbours (Å) after each atom.
Element x y z (fractional)
Mg (0.0000, 0.0000, 0.0000)  6 O 2.09-2.15
Mg (0.5000, 0.0000, 0.5000)  6 O 2.09-2.15
H (0.9868, 0.4418, 0.3474)  1 O 1.02
H (0.4868, 0.5582, 0.1526)  1 O 1.02
H (0.0132, 0.5582, 0.6526)  1 O 1.02
H (0.5132, 0.4418, 0.8474)  1 O 1.02
Se (0.8182, 0.6644, 0.7850)  4 O 1.64-1.75
Se (0.3182, 0.3356, 0.7150)  4 O 1.64-1.75
Se (0.6818, 0.6644, 0.2850)  4 O 1.64-1.75
Se (0.1818, 0.3356, 0.2150)  4 O 1.64-1.75
O (0.0814, 0.3129, 0.3981)  1 H 1.02
O (0.5814, 0.6871, 0.1019)  1 H 1.02
O (0.3511, 0.6581, 0.5419)  1 Se 1.65
O (0.8511, 0.3419, 0.9581)  1 Se 1.65
O (0.6489, 0.3419, 0.4581)  1 Se 1.65
O (0.1489, 0.6581, 0.0419)  1 Se 1.65
O (0.3682, 0.0583, 0.6849)  1 Se 1.64
O (0.8682, 0.9417, 0.8151)  1 Se 1.64
O (0.6318, 0.9417, 0.3151)  1 Se 1.64
O (0.1318, 0.0583, 0.1849)  1 Se 1.64
O (0.1352, 0.3052, 0.7797)  1 H 1.64, 1 Se 1.67
O (0.6352, 0.6948, 0.7203)  1 H 1.64, 1 Se 1.67
O (0.8648, 0.6948, 0.2203)  1 H 1.64, 1 Se 1.67
O (0.3648, 0.3052, 0.2797)  1 H 1.64, 1 Se 1.67
O (0.4186, 0.3129, 0.8981)  1 H 1.02
O (0.9186, 0.6871, 0.6019)  1 H 1.02

No. 5
The following is a PBE calculation of LiAgF4 after structural relaxation, from the Materials Project database.

DFT total energy (eV for the cell shown): -22.07
Formation energy from the elements (eV per atom): -1.920
Relative energy among the computed polymorphs (kcal/mol of atoms): 1.51
MP2020-corrected energy (eV per cell): -23.92
Total moment (μB/f.u.): 0.70
Theoretical density (Mg/m³): 4.22

Cell lengths 3.4736, 4.6385, 4.6611 Å; angles 87.51, 90.00, 90.00 degrees
With the nearest neighbours (Å) after each atom.
Element x y z (fractional)
Li (0.5000, 0.5000, 0.5000)  6 F 2.02-2.13
Ag (0.0000, 0.0000, 0.0000)  6 F 2.00-2.20
F (0.0000, 0.6750, 0.2950)  1 Ag 2.00, 2 Li 2.13
F (0.5000, 0.8132, 0.7867)  1 Li 2.02, 2 Ag 2.20
F (0.5000, 0.1868, 0.2133)  1 Li 2.02, 2 Ag 2.20
F (0.0000, 0.3250, 0.7050)  1 Ag 2.00, 2 Li 2.13

No. 6
The following is a PBE calculation of CaSbO3 after structural relaxation, from the Materials Project database.

DFT total energy (eV for the cell shown): -124.24
Formation energy from the elements (eV per atom): -2.429
MP2020-corrected energy (eV per cell): -132.48
Total moment (μB/f.u.): 0.00
Theoretical density (Mg/m³): 5.09

Cell lengths 5.6825, 5.9001, 8.1650 Å; angles 90.00, 90.00, 90.00 degrees
With the nearest neighbours (Å) after each atom.
Element x y z (fractional)
Ca (0.4876, 0.5545, 0.2500)  4 O 2.36-2.45
Ca (0.9876, 0.9455, 0.7500)  4 O 2.36-2.45
Ca (0.0124, 0.0545, 0.2500)  4 O 2.36-2.45
Ca (0.5124, 0.4455, 0.7500)  4 O 2.36-2.45
Sb (0.0000, 0.5000, 0.0000)  6 O 2.15-2.16
Sb (0.5000, 0.0000, 0.0000)  6 O 2.15-2.16
Sb (0.5000, 0.0000, 0.5000)  6 O 2.15-2.16
Sb (0.0000, 0.5000, 0.5000)  6 O 2.15-2.16
O (0.3887, 0.0476, 0.7500)  2 Sb 2.16, 1 Ca 2.36
O (0.8887, 0.4524, 0.2500)  2 Sb 2.16, 1 Ca 2.36
O (0.1113, 0.5476, 0.7500)  2 Sb 2.16, 1 Ca 2.36
O (0.6113, 0.9524, 0.2500)  2 Sb 2.16, 1 Ca 2.36
O (0.1931, 0.8034, 0.4424)  2 Sb 2.15, 1 Ca 2.39
O (0.6931, 0.6966, 0.5576)  2 Sb 2.15, 1 Ca 2.39
O (0.3069, 0.3034, 0.0576)  2 Sb 2.15, 1 Ca 2.39
O (0.8069, 0.1966, 0.9424)  2 Sb 2.15, 1 Ca 2.39
O (0.1931, 0.8034, 0.0576)  2 Sb 2.15, 1 Ca 2.39
O (0.6931, 0.6966, 0.9424)  2 Sb 2.15, 1 Ca 2.39
O (0.8069, 0.1966, 0.5576)  2 Sb 2.15, 1 Ca 2.39
O (0.3069, 0.3034, 0.4424)  2 Sb 2.15, 1 Ca 2.39

No. 7
The following is a PBE calculation of K2RbSbI6 after structural relaxation, from the Materials Project database.

DFT total energy (eV for the cell shown): -25.74
Formation energy from the elements (eV per atom): -1.154
MP2020-corrected energy (eV per cell): -28.01
Total moment (μB/f.u.): 0.00
Theoretical density (Mg/m³): 3.20

Cell lengths 9.1594, 9.1594, 9.1594 Å; angles 60.00, 60.00, 60.00 degrees
With the nearest neighbours (Å) after each atom.
Element x y z (fractional)
K (0.7500, 0.7500, 0.7500)  12 I 4.58
K (0.2500, 0.2500, 0.2500)  12 I 4.58
Rb (0.5000, 0.5000, 0.5000)  6 I 3.45
Sb (0.0000, 0.0000, 0.0000)  6 I 3.02
I (0.7667, 0.2333, 0.2333)  1 Sb 3.02
I (0.2333, 0.2333, 0.7667)  1 Sb 3.02
I (0.2333, 0.7667, 0.7667)  1 Sb 3.02
I (0.2333, 0.7667, 0.2333)  1 Sb 3.02
I (0.7667, 0.2333, 0.7667)  1 Sb 3.02
I (0.7667, 0.7667, 0.2333)  1 Sb 3.02